Below is a relaxed structure of Li6V3P8O29, with properties calculated at the PBE with a Hubbard U level.

The structure in extended XYZ format:
```
92
Lattice="9.786 0.000 0.000 4.877 8.497 0.000 0.159 -0.031 13.986" Properties=species:S:1:pos:R:3 pbc="T T T"
Li 0.000 0.000 0.000
Li 0.767 1.168 7.010
Li 2.936 4.862 7.756
Li 2.230 2.001 12.273
Li 5.057 6.918 5.361
Li 3.594 1.872 5.332
Li 7.489 7.296 12.919
Li 8.074 7.428 6.354
Li 5.010 1.138 13.911
Li 8.485 4.827 13.937
Li 9.795 5.648 5.302
Li 10.615 6.844 12.243
V 5.666 3.972 9.649
V 5.000 2.947 2.666
V 9.827 4.008 2.644
V 12.082 7.707 9.652
V 10.536 2.913 9.648
V 13.229 7.684 2.713
P 2.842 4.839 4.357
P 0.863 1.141 3.955
P 5.191 8.421 10.981
P 2.141 1.867 1.374
P 5.191 6.905 8.403
P 3.531 1.825 8.320
P 5.807 5.823 1.377
P 7.046 5.115 3.988
P 4.835 1.092 10.921
P 10.276 8.386 3.917
P 8.458 5.051 10.906
P 9.802 5.811 8.346
P 10.369 6.955 1.312
P 7.712 2.028 0.995
P 7.789 2.009 7.973
P 12.690 4.832 11.315
O 2.213 3.527 10.725
O 2.864 4.778 5.862
O 3.662 6.081 3.856
O 1.996 2.035 8.366
O 4.801 7.011 1.437
O 1.720 1.160 5.198
O 1.657 1.145 0.138
O 5.573 7.702 7.167
O 5.729 7.776 12.232
O 1.827 0.945 2.669
O 5.799 7.672 9.683
O 4.315 4.849 10.639
O 3.517 3.543 3.754
O 4.206 3.215 8.458
O 3.662 2.072 1.361
O 5.050 4.487 1.508
O 5.773 5.504 8.395
O 3.877 1.050 7.081
O 3.950 1.051 12.159
O 6.729 5.976 5.169
O 3.892 0.932 9.616
O 6.746 6.002 2.671
O 6.712 5.937 0.186
O 6.253 3.799 3.855
O 4.906 1.345 3.941
O 6.968 4.787 10.883
O 5.604 2.405 10.796
O 7.026 3.209 8.607
O 6.249 1.974 1.629
O 9.704 7.763 2.536
O 8.812 5.946 9.612
O 9.732 7.577 5.050
O 8.861 5.846 12.146
O 8.978 5.824 7.092
O 9.963 7.669 0.041
O 10.649 8.367 10.925
O 8.573 4.812 3.917
O 8.358 3.367 1.527
O 7.799 1.999 13.492
O 9.754 5.530 1.363
O 7.150 0.741 8.658
O 7.831 1.942 6.492
O 10.760 6.995 8.411
O 9.271 3.746 10.802
O 11.833 8.344 3.775
O 11.880 6.905 1.552
O 10.655 4.513 8.514
O 9.270 2.037 8.547
O 8.507 0.811 1.574
O 11.902 6.080 10.761
O 11.165 4.933 3.821
O 9.845 2.427 3.745
O 13.451 8.362 10.870
O 11.185 3.209 1.592
O 13.429 6.784 8.551
O 10.639 1.366 10.902
O 14.607 8.389 3.962
O 12.660 4.781 12.804
```

Values from the calculation:
Formation enthalpy at 0 K, eV per atom: -2.65
Total moment, μB/cell: 6.01
E above lowest polymorph, meV/atom: 10
E (MP2020), Ry per atom: -0.5553